# P3N5

Crystalline P3N5 at its relaxed geometry (r²SCAN, the Materials Project database).

abc: 8.112 5.850 9.164
angles: 90.00 115.76 90.00
Space group C2/c (No. 15)
One atom of each set of equivalent atoms:
P: 0.000 0.017 0.250 x4
P: 0.134 0.296 0.055 x8
N: 0.000 0.500 0.000 x4
N: 0.131 0.139 0.191 x8
N: 0.145 0.145 0.900 x8

## Properties
Total energy ... -9.57 eV per atom
Formation enthalpy at 0 K ... -0.49 eV per atom
Crystal system ... monoclinic



# Rb3P6N11

Crystalline Rb3P6N11 at its relaxed geometry (r²SCAN, the Materials Project database).

abc: 10.506 10.506 10.506
angles: 90.00 90.00 90.00
Space group P4_132 (No. 213)
One atom of each set of equivalent atoms:
Rb: 0.013 0.487 0.513 x8
Rb: 0.125 0.625 0.875 x4
P: 0.040 0.821 0.548 x24
N: 0.011 0.347 0.277 x24
N: 0.051 0.949 0.449 x8
N: 0.059 0.875 0.691 x12

## Properties
Total energy ... -10.63 eV per atom
Formation enthalpy at 0 K ... -0.82 eV per atom
Crystal system ... cubic



- Number 1 is which compound?
  P3N5